This record from the Materials Project database describes a geometry-optimized Li3Mn4B4O12 structure. The functional is PBE+U.

Results
* energy relative to the lowest polymorph listed for this composition: 0.006 eV per atom
* DFT formation energy: -2.466 eV/atom
* calculated density: 3.137 Mg/m³
* total DFT energy (no corrections): -7.403 eV per atom
* E (MP2020): -185.19 eV/f.u.

Structure (CIF):
```
data_Li3Mn4B4O12
_symmetry_space_group_name_H-M 'P 1'
_symmetry_Int_Tables_number 1
_symmetry_space_group_name_Hall 'P 1'
_cell_length_a 5.281
_cell_length_b 9.109
_cell_length_c 11.572
_cell_angle_alpha 111.75
_cell_angle_beta 102.01
_cell_angle_gamma 90.31
loop_
_atom_site_label
_atom_site_type_symbol
_atom_site_fract_x
_atom_site_fract_y
_atom_site_fract_z
Li1 Li 0.966 0.958 0.089
Li2 Li 0.735 0.737 0.335
Li3 Li 0.521 0.495 0.829
Li4 Li 0.229 0.249 0.339
Li5 Li 0.212 0.230 0.598
Li6 Li 0.021 0.986 0.830
Mn1 Mn 0.981 0.637 0.118
Mn2 Mn 0.763 0.422 0.375
Mn3 Mn 0.717 0.048 0.620
Mn4 Mn 0.454 0.156 0.107
Mn5 Mn 0.531 0.849 0.867
Mn6 Mn 0.256 0.930 0.365
Mn7 Mn 0.233 0.576 0.617
Mn8 Mn 0.025 0.344 0.870
B1 B 0.957 0.310 0.134
B2 B 0.770 0.107 0.392
B3 B 0.729 0.385 0.615
B4 B 0.490 0.834 0.133
B5 B 0.512 0.178 0.855
B6 B 0.267 0.593 0.369
B7 B 0.244 0.910 0.629
B8 B 0.033 0.687 0.875
O1 O 0.996 0.919 0.646
O2 O 0.739 0.347 0.190
O3 O 0.883 0.280 0.654
O4 O 0.842 0.475 0.560
O5 O 0.645 0.729 0.163
O6 O 0.577 0.931 0.076
O7 O 0.934 0.833 0.894
O8 O 0.907 0.576 0.906
O9 O 0.672 0.989 0.430
O10 O 0.595 0.203 0.353
O11 O 0.744 0.132 0.810
O12 O 0.525 0.593 0.370
O13 O 0.481 0.403 0.634
O14 O 0.242 0.850 0.162
O15 O 0.399 0.804 0.660
O16 O 0.338 0.018 0.583
O17 O 0.093 0.186 0.148
O18 O 0.403 0.310 0.848
O19 O 0.402 0.082 0.904
O20 O 0.020 0.394 0.066
O21 O 0.152 0.480 0.404
O22 O 0.112 0.701 0.336
O23 O 0.258 0.652 0.828
O24 O 0.029 0.123 0.395
```